# 1
DFT (PBE with a Hubbard U) results for an optimized crystal structure of Cr3P2O8.

```
data_Cr3P2O8
_cell_length_a 4.837
_cell_length_b 10.782
_cell_length_c 8.749
_cell_angle_alpha 90.00
_cell_angle_beta 115.14
_cell_angle_gamma 90.00
_symmetry_space_group_name_H-M 'P 1 21/c 1'
_symmetry_Int_Tables_number 14
loop_
_symmetry_equiv_pos_as_xyz
'x,y,z'
'-x,-y,-z'
'-x,y+1/2,-z+1/2'
'x,-y+1/2,z+1/2'
loop_
_atom_site_label
_atom_site_type_symbol
_atom_site_fract_x
_atom_site_fract_y
_atom_site_fract_z
Cr1 Cr 0.000 0.000 0.000
Cr2 Cr 0.024 0.182 0.545
P1 P 0.468 0.181 0.912
O1 O 0.166 0.173 0.941
O2 O 0.271 0.612 0.443
O3 O 0.401 0.122 0.738
O4 O 0.436 0.681 0.084
```

- energy relative to the elements (eV per atom) = -2.29
- distance to the lowest polymorph of the same formula (eV per atom) = 0.087


# 2
DFT (PBE with a Hubbard U) results for an optimized crystal structure of LiNiP3O9.

```
data_LiNiP3O9
_cell_length_a 6.4198
_cell_length_b 6.4198
_cell_length_c 9.6595
_cell_angle_alpha 90.00
_cell_angle_beta 90.00
_cell_angle_gamma 120.00
_symmetry_space_group_name_H-M 'P -6 c 2'
_symmetry_Int_Tables_number 188
_symmetry_space_group_name_Hall 'P -6c 2'
loop_
_atom_site_label
_atom_site_type_symbol
_atom_site_fract_x
_atom_site_fract_y
_atom_site_fract_z
Li1 Li 0.0000 0.0000 0.0000
Ni1 Ni 0.6667 0.3333 0.0000
P1 P 0.0515 0.4173 0.2500
O1 O 0.1227 0.4282 0.7500
O2 O 0.3737 0.0704 0.1155
```

- energy relative to the elements (eV per atom) = -2.44
- distance to the lowest polymorph of the same formula (eV per atom) = 0.054


# 3
DFT (PBE with a Hubbard U) results for an optimized crystal structure of CaW2O7.

```
data_CaW2O7
_cell_length_a 6.844
_cell_length_b 7.118
_cell_length_c 8.726
_cell_angle_alpha 90.00
_cell_angle_beta 106.41
_cell_angle_gamma 90.00
_symmetry_space_group_name_H-M 'P 1 21 1'
_symmetry_Int_Tables_number 4
loop_
_symmetry_equiv_pos_as_xyz
'x,y,z'
'-x,y+1/2,-z'
loop_
_atom_site_label
_atom_site_type_symbol
_atom_site_fract_x
_atom_site_fract_y
_atom_site_fract_z
Ca1 Ca 0.121 0.000 0.140
W1 W 0.107 0.523 0.292
W2 W 0.329 0.551 0.704
O1 O 0.053 0.654 0.102
O2 O 0.102 0.429 0.717
O3 O 0.123 0.980 0.667
O4 O 0.199 0.296 0.254
O5 O 0.281 0.634 0.484
O6 O 0.381 0.724 0.852
O7 O 0.451 0.900 0.250
```

- energy relative to the elements (eV per atom) = -2.30


# 4
DFT (PBE with a Hubbard U) results for an optimized crystal structure of Rb2NaMnF6.

```
data_Rb2NaMnF6
_cell_length_a 6.017
_cell_length_b 6.017
_cell_length_c 8.880
_cell_angle_alpha 90.00
_cell_angle_beta 90.00
_cell_angle_gamma 90.00
_symmetry_space_group_name_H-M 'I 4/m m m'
_symmetry_Int_Tables_number 139
_symmetry_space_group_name_Hall '-I 4 2'
loop_
_atom_site_label
_atom_site_type_symbol
_atom_site_fract_x
_atom_site_fract_y
_atom_site_fract_z
Rb1 Rb 0.000 0.500 0.250
Na1 Na 0.000 0.000 0.000
Mn1 Mn 0.000 0.000 0.500
F1 F 0.000 0.000 0.260
F2 F 0.224 0.224 0.500
```

- energy relative to the elements (eV per atom) = -2.99


# 5
DFT (PBE with a Hubbard U) results for an optimized crystal structure of LiFeCoO4.

```
data_LiFeCoO4
_cell_length_a 5.855
_cell_length_b 5.855
_cell_length_c 8.123
_cell_angle_alpha 90.00
_cell_angle_beta 90.00
_cell_angle_gamma 90.00
_symmetry_space_group_name_H-M 'P 43 2 2'
_symmetry_Int_Tables_number 95
loop_
_symmetry_equiv_pos_as_xyz
'x,y,z'
'-y,x,z+3/4'
'-x,-y,z+1/2'
'y,-x,z+1/4'
'x,-y,-z+1/2'
'-y,-x,-z+3/4'
'-x,y,-z'
'y,x,-z+1/4'
loop_
_atom_site_label
_atom_site_type_symbol
_atom_site_fract_x
_atom_site_fract_y
_atom_site_fract_z
Li1 Li 0.000 0.237 0.000
Fe1 Fe 0.254 0.254 0.625
Co1 Co 0.241 0.500 0.250
O1 O 0.020 0.270 0.257
O2 O 0.266 0.481 0.019
```

- energy relative to the elements (eV per atom) = -1.53
- distance to the lowest polymorph of the same formula (eV per atom) = 0.047


# 6
DFT (PBE with a Hubbard U) results for an optimized crystal structure of MgZn2W2O8.

```
data_MgZn2W2O8
_cell_length_a 6.382
_cell_length_b 14.970
_cell_length_c 4.835
_cell_angle_alpha 90.00
_cell_angle_beta 129.67
_cell_angle_gamma 90.00
_symmetry_space_group_name_H-M 'C 1 2 1'
_symmetry_Int_Tables_number 5
loop_
_symmetry_equiv_pos_as_xyz
'x,y,z'
'-x,y,-z'
'x+1/2,y+1/2,z'
'-x+1/2,y+1/2,-z'
loop_
_atom_site_label
_atom_site_type_symbol
_atom_site_fract_x
_atom_site_fract_y
_atom_site_fract_z
Mg1 Mg 0.000 0.000 0.000
Zn1 Zn 0.000 0.354 0.000
Zn2 Zn 0.000 0.640 0.500
W1 W 0.000 0.169 0.500
W2 W 0.000 0.804 0.000
O1 O 0.184 0.081 0.416
O2 O 0.205 0.900 0.986
O3 O 0.219 0.697 0.994
O4 O 0.222 0.277 0.489
```

- energy relative to the elements (eV per atom) = -2.11
- distance to the lowest polymorph of the same formula (eV per atom) = 0.000


# 7
DFT (PBE with a Hubbard U) results for an optimized crystal structure of Ti2V3CrP6O24.

```
data_Ti2V3CrP6O24
_cell_length_a 8.6948
_cell_length_b 8.6948
_cell_length_c 20.3651
_cell_angle_alpha 90.00
_cell_angle_beta 90.00
_cell_angle_gamma 120.00
_symmetry_space_group_name_H-M 'R 3'
_symmetry_Int_Tables_number 146
_symmetry_space_group_name_Hall 'R 3'
loop_
_atom_site_label
_atom_site_type_symbol
_atom_site_fract_x
_atom_site_fract_y
_atom_site_fract_z
Ti1 Ti 0.0000 0.0000 0.0000
Ti2 Ti 0.0000 0.0000 0.4982
V1 V 0.0000 0.0000 0.1392
V2 V 0.0000 0.0000 0.3550
V3 V 0.0000 0.0000 0.6386
Cr1 Cr 0.0000 0.0000 0.8556
P1 P 0.0391 0.6686 0.9137
P2 P 0.0414 0.3733 0.4146
O1 O 0.0082 0.2025 0.8101
O2 O 0.0099 0.1789 0.4261
O3 O 0.0096 0.8044 0.3091
O4 O 0.0104 0.8330 0.9254
O5 O 0.1397 0.6773 0.8523
O6 O 0.1411 0.4628 0.3526
O7 O 0.1622 0.6743 0.2352
O8 O 0.1632 0.4855 0.7360
```

- energy relative to the elements (eV per atom) = -2.73


# 8
DFT (PBE with a Hubbard U) results for an optimized crystal structure of Li2Ti3CoO8.

```
data_Li2Ti3CoO8
_cell_length_a 8.445
_cell_length_b 8.445
_cell_length_c 8.445
_cell_angle_alpha 90.00
_cell_angle_beta 90.00
_cell_angle_gamma 90.00
_symmetry_space_group_name_H-M 'P 21 3'
_symmetry_Int_Tables_number 198
_symmetry_space_group_name_Hall 'P 2ac 2ab 3'
loop_
_atom_site_label
_atom_site_type_symbol
_atom_site_fract_x
_atom_site_fract_y
_atom_site_fract_z
Li1 Li 0.002 0.498 0.502
Li2 Li 0.124 0.876 0.376
Ti1 Ti 0.120 0.628 0.135
Co1 Co 0.248 0.748 0.752
O1 O 0.108 0.128 0.390
O2 O 0.112 0.612 0.888
O3 O 0.123 0.144 0.859
O4 O 0.139 0.361 0.639
```

- energy relative to the elements (eV per atom) = -2.98
- distance to the lowest polymorph of the same formula (eV per atom) = 0.000


# 9
DFT (PBE with a Hubbard U) results for an optimized crystal structure of Li9Mn7O16.

```
data_Li9Mn7O16
_cell_length_a 6.075
_cell_length_b 6.505
_cell_length_c 7.815
_cell_angle_alpha 89.73
_cell_angle_beta 83.19
_cell_angle_gamma 76.75
_symmetry_space_group_name_H-M 'P -1'
_symmetry_Int_Tables_number 2
loop_
_symmetry_equiv_pos_as_xyz
'x,y,z'
'-x,-y,-z'
loop_
_atom_site_label
_atom_site_type_symbol
_atom_site_fract_x
_atom_site_fract_y
_atom_site_fract_z
Li1 Li 0.000 0.000 0.000
Li2 Li 0.123 0.369 0.122
Li3 Li 0.125 0.877 0.629
Li4 Li 0.369 0.631 0.875
Li5 Li 0.379 0.123 0.371
Mn1 Mn 0.000 0.500 0.500
Mn2 Mn 0.238 0.249 0.757
Mn3 Mn 0.254 0.751 0.244
Mn4 Mn 0.500 0.000 0.000
Mn5 Mn 0.500 0.500 0.500
O1 O 0.061 0.693 0.081
O2 O 0.072 0.199 0.564
O3 O 0.174 0.549 0.686
O4 O 0.226 0.040 0.171
O5 O 0.320 0.955 0.817
O6 O 0.325 0.452 0.316
O7 O 0.421 0.296 0.940
O8 O 0.446 0.794 0.425
```

- energy relative to the elements (eV per atom) = -2.13
- distance to the lowest polymorph of the same formula (eV per atom) = 0.012


# 10
DFT (PBE with a Hubbard U) results for an optimized crystal structure of Li9Mn2Co5O16.

```
data_Li9Mn2Co5O16
_cell_length_a 5.115
_cell_length_b 5.885
_cell_length_c 10.081
_cell_angle_alpha 90.91
_cell_angle_beta 99.96
_cell_angle_gamma 105.97
_symmetry_space_group_name_H-M 'P -1'
_symmetry_Int_Tables_number 2
loop_
_symmetry_equiv_pos_as_xyz
'x,y,z'
'-x,-y,-z'
loop_
_atom_site_label
_atom_site_type_symbol
_atom_site_fract_x
_atom_site_fract_y
_atom_site_fract_z
Li1 Li 0.000 0.000 0.000
Li2 Li 0.497 0.375 0.120
Li3 Li 0.497 0.879 0.119
Li4 Li 0.499 0.121 0.375
Li5 Li 0.499 0.374 0.625
Mn1 Mn 0.007 0.757 0.249
Co1 Co 0.000 0.000 0.500
Co2 Co 0.000 0.500 0.000
Co3 Co 0.000 0.500 0.500
Co4 Co 0.002 0.753 0.759
O1 O 0.214 0.536 0.681
O2 O 0.218 0.317 0.434
O3 O 0.223 0.064 0.688
O4 O 0.226 0.318 0.927
O5 O 0.231 0.568 0.190
O6 O 0.233 0.046 0.195
O7 O 0.235 0.795 0.928
O8 O 0.235 0.823 0.431
```

- energy relative to the elements (eV per atom) = -1.83
- distance to the lowest polymorph of the same formula (eV per atom) = 0.031


# 11
DFT (PBE with a Hubbard U) results for an optimized crystal structure of FeP6W3O24.

```
data_FeP6W3O24
_cell_length_a 8.7721
_cell_length_b 8.7721
_cell_length_c 22.0010
_cell_angle_alpha 90.00
_cell_angle_beta 90.00
_cell_angle_gamma 120.00
_symmetry_space_group_name_H-M 'R 3'
_symmetry_Int_Tables_number 146
_symmetry_space_group_name_Hall 'R 3'
loop_
_atom_site_label
_atom_site_type_symbol
_atom_site_fract_x
_atom_site_fract_y
_atom_site_fract_z
Fe1 Fe 0.0000 0.0000 0.0000
P1 P 0.0003 0.2836 0.1070
P2 P 0.0043 0.7132 0.6085
W1 W 0.0000 0.0000 0.2161
W2 W 0.0000 0.0000 0.5011
W3 W 0.0000 0.0000 0.7160
O1 O 0.0215 0.8247 0.5512
O2 O 0.0269 0.1960 0.7687
O3 O 0.0303 0.2026 0.0514
O4 O 0.0311 0.8329 0.2681
O5 O 0.1588 0.4645 0.8328
O6 O 0.1613 0.4707 0.1163
O7 O 0.1612 0.6953 0.3319
O8 O 0.1655 0.6962 0.6136
```

- energy relative to the elements (eV per atom) = -2.48


# 12
DFT (PBE with a Hubbard U) results for an optimized crystal structure of Mg8V5O16.

```
data_Mg8V5O16
_cell_length_a 6.038
_cell_length_b 6.053
_cell_length_c 10.296
_cell_angle_alpha 73.80
_cell_angle_beta 73.58
_cell_angle_gamma 60.09
_symmetry_space_group_name_H-M 'P 1'
_symmetry_Int_Tables_number 1
loop_
_symmetry_equiv_pos_as_xyz
'x,y,z'
loop_
_atom_site_label
_atom_site_type_symbol
_atom_site_fract_x
_atom_site_fract_y
_atom_site_fract_z
Mg1 Mg 0.000 0.000 0.000
Mg2 Mg 0.002 0.501 0.000
Mg3 Mg 0.254 0.253 0.252
Mg4 Mg 0.323 0.311 0.569
Mg5 Mg 0.505 0.497 0.000
Mg6 Mg 0.508 0.997 0.004
Mg7 Mg 0.688 0.689 0.424
Mg8 Mg 0.757 0.746 0.745
V1 V 0.003 0.004 0.497
V2 V 0.251 0.745 0.249
V3 V 0.269 0.748 0.744
V4 V 0.739 0.253 0.252
V5 V 0.755 0.254 0.748
O1 O 0.120 0.108 0.636
O2 O 0.127 0.129 0.119
O3 O 0.129 0.655 0.635
O4 O 0.148 0.622 0.119
O5 O 0.345 0.886 0.369
O6 O 0.371 0.854 0.867
O7 O 0.389 0.386 0.868
O8 O 0.390 0.376 0.364
O9 O 0.612 0.627 0.634
O10 O 0.615 0.626 0.121
O11 O 0.627 0.142 0.120
O12 O 0.663 0.111 0.629
O13 O 0.859 0.381 0.874
O14 O 0.882 0.871 0.875
O15 O 0.889 0.343 0.368
O16 O 0.894 0.883 0.366
```

- energy relative to the elements (eV per atom) = -2.80
- distance to the lowest polymorph of the same formula (eV per atom) = 0.000